This record from the Materials Project database describes a geometry-optimized Na6Ta16Zn8Si15S21O144 structure. The functional is PBE.

Structure (CIF):
```
data_Na6Ta16Zn8Si15S21O144
_space_group_name_H-M_alt 'P 1'
_space_group_IT_number 1
_space_group_name_Hall 'P 1'
_cell_length_a 8.844
_cell_length_b 15.306
_cell_length_c 22.804
_cell_angle_alpha 90.56
_cell_angle_beta 90.00
_cell_angle_gamma 90.02
loop_
_atom_site_label
_atom_site_fract_x
_atom_site_fract_y
_atom_site_fract_z
_atom_site_occupancy
Na1 0.000 0.000 0.000 1
Na2 0.004 0.002 0.504 1
Na3 0.492 0.501 0.002 1
Na4 0.501 0.165 0.844 1
Na5 0.510 0.502 0.503 1
Na6 0.996 0.664 0.348 1
Ta1 0.000 0.329 0.040 1
Ta2 0.003 0.662 0.694 1
Ta3 0.006 0.996 0.160 1
Ta4 0.490 0.170 0.198 1
Ta5 0.493 0.497 0.657 1
Ta6 0.496 0.832 0.320 1
Ta7 0.498 0.162 0.487 1
Ta8 0.498 0.829 0.541 1
Ta9 0.501 0.828 0.825 1
Ta10 0.503 0.503 0.153 1
Ta11 0.506 0.830 0.032 1
Ta12 0.985 0.331 0.535 1
Ta13 0.995 0.329 0.328 1
Ta14 0.996 0.002 0.653 1
Ta15 0.997 0.661 0.986 1
Ta16 0.999 0.333 0.818 1
Zn1 0.018 0.010 0.367 1
Zn2 0.482 0.509 0.865 1
Zn3 0.483 0.171 0.997 1
Zn4 0.506 0.495 0.367 1
Zn5 0.510 0.158 0.689 1
Zn6 0.983 0.657 0.191 1
Zn7 0.991 0.993 0.865 1
Zn8 0.994 0.662 0.508 1
Si1 0.139 0.185 0.430 1
Si2 0.142 0.527 0.096 1
Si3 0.211 0.503 0.764 1
Si4 0.212 0.158 0.091 1
Si5 0.283 0.660 0.591 1
Si6 0.291 0.001 0.264 1
Si7 0.355 0.026 0.597 1
Si8 0.356 0.684 0.928 1
Si9 0.638 0.307 0.092 1
Si10 0.701 0.337 0.430 1
Si11 0.719 0.671 0.097 1
Si12 0.777 0.168 0.598 1
Si13 0.793 0.837 0.929 1
Si14 0.851 0.522 0.591 1
Si15 0.861 0.807 0.593 1
S1 0.141 0.479 0.427 1
S2 0.142 0.811 0.095 1
S3 0.144 0.856 0.762 1
S4 0.146 0.140 0.766 1
S5 0.214 0.829 0.427 1
S6 0.281 0.329 0.927 1
S7 0.351 0.357 0.261 1
S8 0.351 0.641 0.265 1
S9 0.354 0.309 0.595 1
S10 0.359 0.979 0.928 1
S11 0.635 0.354 0.767 1
S12 0.642 0.972 0.428 1
S13 0.643 0.691 0.427 1
S14 0.644 0.021 0.095 1
S15 0.645 0.643 0.763 1
S16 0.707 0.000 0.765 1
S17 0.788 0.500 0.265 1
S18 0.852 0.143 0.262 1
S19 0.854 0.191 0.927 1
S20 0.854 0.471 0.929 1
S21 0.859 0.854 0.266 1
O1 0.053 0.094 0.430 1
O2 0.061 0.562 0.425 1
O3 0.061 0.901 0.101 1
O4 0.063 0.230 0.773 1
O5 0.070 0.772 0.042 1
O6 0.073 0.558 0.157 1
O7 0.075 0.102 0.712 1
O8 0.079 0.246 0.484 1
O9 0.079 0.427 0.372 1
O10 0.079 0.429 0.076 1
O11 0.079 0.893 0.816 1
O12 0.080 0.768 0.752 1
O13 0.090 0.079 0.110 1
O14 0.096 0.583 0.749 1
O15 0.100 0.413 0.773 1
O16 0.102 0.245 0.369 1
O17 0.108 0.246 0.084 1
O18 0.108 0.427 0.479 1
O19 0.115 0.088 0.817 1
O20 0.115 0.588 0.039 1
O21 0.116 0.914 0.711 1
O22 0.122 0.908 0.425 1
O23 0.129 0.763 0.148 1
O24 0.131 0.747 0.424 1
O25 0.168 0.011 0.604 1
O26 0.173 0.681 0.939 1
O27 0.177 0.326 0.873 1
O28 0.178 0.982 0.206 1
O29 0.179 0.679 0.649 1
O30 0.181 0.335 0.979 1
O31 0.184 0.346 0.266 1
O32 0.191 0.023 0.319 1
O33 0.191 0.660 0.258 1
O34 0.194 0.328 0.582 1
O35 0.195 0.986 0.923 1
O36 0.199 0.634 0.532 1
O37 0.301 0.128 0.034 1
O38 0.302 0.519 0.822 1
O39 0.302 0.834 0.082 1
O40 0.305 0.485 0.420 1
O41 0.306 0.160 0.759 1
O42 0.314 0.848 0.768 1
O43 0.315 0.836 0.479 1
O44 0.319 0.176 0.149 1
O45 0.320 0.828 0.373 1
O46 0.321 0.482 0.707 1
O47 0.323 0.180 0.438 1
O48 0.329 0.512 0.105 1
O49 0.365 0.247 0.925 1
O50 0.370 0.262 0.648 1
O51 0.374 0.408 0.926 1
O52 0.380 0.087 0.539 1
O53 0.381 0.587 0.316 1
O54 0.383 0.412 0.209 1
O55 0.392 0.747 0.584 1
O56 0.393 0.746 0.869 1
O57 0.393 0.927 0.981 1
O58 0.396 0.912 0.272 1
O59 0.402 0.580 0.608 1
O60 0.407 0.079 0.245 1
O61 0.418 0.266 0.251 1
O62 0.418 0.929 0.874 1
O63 0.419 0.392 0.315 1
O64 0.420 0.744 0.984 1
O65 0.420 0.929 0.577 1
O66 0.422 0.057 0.657 1
O67 0.422 0.601 0.211 1
O68 0.429 0.269 0.542 1
O69 0.431 0.399 0.600 1
O70 0.434 0.729 0.272 1
O71 0.441 0.062 0.928 1
O72 0.443 0.593 0.929 1
O73 0.558 0.275 0.034 1
O74 0.562 0.608 0.423 1
O75 0.564 0.058 0.433 1
O76 0.567 0.732 0.768 1
O77 0.567 0.935 0.090 1
O78 0.574 0.266 0.760 1
O79 0.574 0.405 0.112 1
O80 0.574 0.600 0.710 1
O81 0.576 0.930 0.374 1
O82 0.577 0.065 0.148 1
O83 0.581 0.398 0.819 1
O84 0.584 0.738 0.480 1
O85 0.598 0.747 0.374 1
O86 0.598 0.750 0.081 1
O87 0.599 0.421 0.426 1
O88 0.605 0.919 0.480 1
O89 0.606 0.075 0.761 1
O90 0.608 0.583 0.105 1
O91 0.610 0.245 0.439 1
O92 0.611 0.246 0.150 1
O93 0.613 0.918 0.771 1
O94 0.618 0.407 0.713 1
O95 0.627 0.593 0.815 1
O96 0.637 0.073 0.042 1
O97 0.672 0.148 0.540 1
O98 0.676 0.500 0.613 1
O99 0.676 0.850 0.985 1
O100 0.677 0.821 0.584 1
O101 0.678 0.823 0.871 1
O102 0.687 0.845 0.272 1
O103 0.689 0.183 0.930 1
O104 0.690 0.157 0.248 1
O105 0.691 0.489 0.211 1
O106 0.692 0.481 0.924 1
O107 0.692 0.511 0.316 1
O108 0.695 0.194 0.657 1
O109 0.801 0.697 0.156 1
O110 0.802 0.012 0.817 1
O111 0.803 0.988 0.712 1
O112 0.805 0.981 0.423 1
O113 0.806 0.661 0.752 1
O114 0.806 0.686 0.426 1
O115 0.808 0.003 0.109 1
O116 0.810 0.344 0.774 1
O117 0.816 0.322 0.371 1
O118 0.817 0.348 0.486 1
O119 0.821 0.322 0.084 1
O120 0.824 0.651 0.039 1
O121 0.845 0.579 0.533 1
O122 0.867 0.092 0.314 1
O123 0.880 0.909 0.211 1
O124 0.882 0.417 0.269 1
O125 0.885 0.746 0.940 1
O126 0.886 0.079 0.606 1
O127 0.886 0.748 0.651 1
O128 0.889 0.576 0.260 1
O129 0.892 0.246 0.875 1
O130 0.892 0.418 0.980 1
O131 0.896 0.922 0.926 1
O132 0.898 0.245 0.582 1
O133 0.913 0.238 0.981 1
O134 0.917 0.900 0.317 1
O135 0.921 0.430 0.875 1
O136 0.922 0.098 0.209 1
O137 0.922 0.905 0.613 1
O138 0.924 0.768 0.258 1
O139 0.926 0.231 0.266 1
O140 0.927 0.570 0.649 1
O141 0.932 0.558 0.933 1
O142 0.935 0.107 0.924 1
O143 0.941 0.429 0.586 1
O144 0.943 0.780 0.534 1
```

## Properties
Energy of formation from the pure elements: -2.5309 eV per atom
Spin magnetization: 0.00 μB per formula unit